# 1
Compound: Na4YSi2GePO12
Source: the Materials Project
Functional: PBE-GGA
Structure: optimized geometry

- ρ: 3.2 g cm⁻³
- Energy of formation: -5531 kJ/mol of formula units

abc: 9.2238 9.2238 22.6018
angles: 91.66 88.34 120.66
Closest atoms and distances in Å follow each position.
Positions (direct):
Na 0.6374 0.0025 0.2517  5 O 2.42-2.71
Na 0.3691 0.3704 0.2481  4 O 2.37-2.63
Na 0.9954 0.6286 0.2506  5 O 2.44-2.67
Na 0.6296 0.6309 0.7481  4 O 2.37-2.63
Na 0.9975 0.3626 0.7517  5 O 2.42-2.71
Na 0.3714 0.0046 0.7506  5 O 2.44-2.67
Na 0.3041 0.3358 0.5851  5 O 2.42-2.71
Na 0.0357 0.7038 0.5815  4 O 2.37-2.63
Na 0.6621 0.9619 0.5840  5 O 2.44-2.67
Na 0.2962 0.9643 0.0815  4 O 2.37-2.63
Na 0.6642 0.6959 0.0851  5 O 2.42-2.71
Na 0.0381 0.3379 0.0840  5 O 2.44-2.67
Na 0.9707 0.6691 0.9184  5 O 2.42-2.71
Na 0.7024 0.0371 0.9148  4 O 2.37-2.63
Na 0.3287 0.2953 0.9173  5 O 2.44-2.67
Na 0.9629 0.2976 0.4148  4 O 2.37-2.63
Na 0.3309 0.0292 0.4184  5 O 2.42-2.71
Na 0.7047 0.6713 0.4173  5 O 2.44-2.67
Na 0.9959 0.9939 0.5009  6 O 2.49-2.75
Na 0.0061 0.0041 0.0009  6 O 2.49-2.75
Na 0.6625 0.3272 0.8342  6 O 2.49-2.75
Na 0.6728 0.3375 0.3342  6 O 2.49-2.75
Na 0.3292 0.6606 0.1676  6 O 2.49-2.75
Na 0.3394 0.6708 0.6676  6 O 2.49-2.75
Y 0.9958 0.9979 0.3503  6 O 2.09-2.25
Y 0.0021 0.0042 0.8503  6 O 2.09-2.25
Y 0.6625 0.3313 0.6837  6 O 2.09-2.25
Y 0.6687 0.3375 0.1837  6 O 2.09-2.25
Y 0.3292 0.6646 0.0170  6 O 2.09-2.25
Y 0.3354 0.6708 0.5170  6 O 2.09-2.25
Si 0.6993 0.7108 0.2499  4 O 1.59-1.71
Si 0.0092 0.2990 0.2508  4 O 1.59-1.71
Si 0.2892 0.3007 0.7499  4 O 1.59-1.71
Si 0.7010 0.9908 0.7508  4 O 1.59-1.71
Si 0.3660 0.0442 0.5832  4 O 1.59-1.71
Si 0.6758 0.6323 0.5841  4 O 1.59-1.71
Si 0.9558 0.6340 0.0832  4 O 1.59-1.71
Si 0.3677 0.3242 0.0841  4 O 1.59-1.71
Si 0.0327 0.3775 0.9166  4 O 1.59-1.71
Si 0.3425 0.9656 0.9175  4 O 1.59-1.71
Si 0.6225 0.9673 0.4166  4 O 1.59-1.71
Si 0.0344 0.6575 0.4175  4 O 1.59-1.71
Ge 0.9992 0.9946 0.6509  5 O 1.91-2.03
Ge 0.0054 0.0008 0.1509  5 O 1.91-2.03
Ge 0.6659 0.3279 0.9843  5 O 1.91-2.03
Ge 0.6721 0.3341 0.4843  5 O 1.91-2.03
Ge 0.3325 0.6612 0.3176  5 O 1.91-2.03
Ge 0.3388 0.6675 0.8176  5 O 1.91-2.03
P 0.2897 0.9903 0.2487  4 O 1.52-1.59
P 0.0097 0.7103 0.7487  4 O 1.52-1.59
P 0.9563 0.3236 0.5820  4 O 1.52-1.59
P 0.6764 0.0437 0.0820  4 O 1.52-1.59
P 0.6230 0.6570 0.9153  4 O 1.52-1.59
P 0.3430 0.3770 0.4153  4 O 1.52-1.59
O 0.2199 0.0273 0.3050  1 P 1.52
O 0.8124 0.7804 0.3074  1 Si 1.59
O 0.9742 0.1901 0.3086  1 Si 1.59
O 0.2196 0.1876 0.8074  1 Si 1.59
O 0.9727 0.7801 0.8050  1 P 1.52
O 0.8099 0.0258 0.8086  1 Si 1.59
O 0.7984 0.9584 0.6906  1 Si 1.71, 1 Ge 1.91
O 0.1603 0.2025 0.6912  1 Si 1.71
O 0.0385 0.8267 0.6936  1 P 1.59
O 0.7975 0.8397 0.1912  1 Si 1.71
O 0.0416 0.2016 0.1906  1 Si 1.71, 1 Ge 1.91
O 0.1733 0.9615 0.1936  1 P 1.59
O 0.8866 0.3606 0.6384  1 P 1.52
O 0.4791 0.1137 0.6408  1 Si 1.59
O 0.6409 0.5234 0.6419  1 Si 1.59
O 0.8863 0.5209 0.1408  1 Si 1.59
O 0.6394 0.1134 0.1384  1 P 1.52
O 0.4766 0.3591 0.1419  1 Si 1.59
O 0.4650 0.2917 0.0240  1 Si 1.71, 1 Ge 1.91
O 0.8270 0.5358 0.0246  1 Si 1.71
O 0.7051 0.1601 0.0269  1 P 1.59
O 0.4642 0.1730 0.5246  1 Si 1.71
O 0.7083 0.5350 0.5240  1 Si 1.71, 1 Ge 1.91
O 0.8399 0.2949 0.5269  1 P 1.59
O 0.5532 0.6939 0.9717  1 P 1.52
O 0.1458 0.4471 0.9741  1 Si 1.59
O 0.3075 0.8568 0.9753  1 Si 1.59
O 0.5529 0.8542 0.4741  1 Si 1.59
O 0.3061 0.4468 0.4717  1 P 1.52
O 0.1432 0.6925 0.4753  1 Si 1.59
O 0.1317 0.6251 0.3573  1 Si 1.71, 1 Ge 1.91
O 0.4936 0.8691 0.3579  1 Si 1.71
O 0.3718 0.4934 0.3603  1 P 1.59
O 0.1309 0.5064 0.8579  1 Si 1.71
O 0.3749 0.8683 0.8573  1 Si 1.71, 1 Ge 1.91
O 0.5066 0.6282 0.8603  1 P 1.59
O 0.0134 0.8208 0.4121  1 Si 1.62
O 0.8118 0.9991 0.4120  1 Si 1.62
O 0.1900 0.1982 0.4097  1 P 1.53
O 0.0009 0.1882 0.9120  1 Si 1.62
O 0.1792 0.9866 0.9121  1 Si 1.62
O 0.8018 0.8100 0.9097  1 P 1.53
O 0.9655 0.1594 0.5857  1 P 1.56
O 0.1775 0.0332 0.5914  1 Si 1.69
O 0.8544 0.8231 0.5904  1 Si 1.69
O 0.9668 0.8225 0.0914  1 Si 1.69
O 0.8406 0.0345 0.0857  1 P 1.56
O 0.1769 0.1456 0.0904  1 Si 1.69
O 0.6800 0.1541 0.7454  1 Si 1.62
O 0.4785 0.3325 0.7454  1 Si 1.62
O 0.8566 0.5315 0.7430  1 P 1.53
O 0.6675 0.5215 0.2454  1 Si 1.62
O 0.8459 0.3200 0.2454  1 Si 1.62
O 0.4685 0.1434 0.2430  1 P 1.53
O 0.6322 0.4928 0.9191  1 P 1.56
O 0.8442 0.3665 0.9247  1 Si 1.69
O 0.5210 0.1564 0.9238  1 Si 1.69
O 0.6335 0.1558 0.4247  1 Si 1.69
O 0.5072 0.3678 0.4191  1 P 1.56
O 0.8436 0.4790 0.4238  1 Si 1.69
O 0.3467 0.4875 0.0788  1 Si 1.62
O 0.1451 0.6658 0.0787  1 Si 1.62
O 0.5233 0.8648 0.0764  1 P 1.53
O 0.3342 0.8549 0.5787  1 Si 1.62
O 0.5125 0.6533 0.5788  1 Si 1.62
O 0.1352 0.4767 0.5764  1 P 1.53
O 0.2989 0.8261 0.2524  1 P 1.56
O 0.5108 0.6999 0.2581  1 Si 1.69
O 0.1877 0.4898 0.2571  1 Si 1.69
O 0.3001 0.4892 0.7581  1 Si 1.69
O 0.1739 0.7011 0.7524  1 P 1.56
O 0.5102 0.8123 0.7571  1 Si 1.69


# 2
Compound: Ti5As3
Source: the Materials Project
Functional: PBE-GGA
Structure: optimized geometry

- ρ: 6.0 g cm⁻³
- Energy above the most stable polymorph in this dataset: 0.0 kJ/mol of atoms
- Energy of formation: -679 kJ/mol of formula units
- Crystal system: orthorhombic

abc: 9.9077 7.7438 6.7286
angles: 90.00 90.00 90.00
Closest atoms and distances in Å follow each position.
Positions (direct):
Ti 0.0010 0.2500 0.0263  5 As 2.62-2.66, 3 Ti 2.77-2.87
Ti 0.0647 0.0531 0.6966  4 As 2.50-2.78, 1 Ti 2.77
Ti 0.0647 0.4469 0.6966  4 As 2.50-2.78, 1 Ti 2.77
Ti 0.2100 0.7500 0.3410  5 As 2.50-2.77
Ti 0.2276 0.2500 0.3335  5 As 2.52-2.73
Ti 0.2724 0.7500 0.8335  5 As 2.52-2.73
Ti 0.2900 0.2500 0.8410  5 As 2.50-2.77
Ti 0.4353 0.5531 0.1966  4 As 2.50-2.78, 1 Ti 2.77
Ti 0.4353 0.9469 0.1966  4 As 2.50-2.78, 1 Ti 2.77
Ti 0.4990 0.7500 0.5263  5 As 2.62-2.66, 3 Ti 2.77-2.87
Ti 0.5010 0.2500 0.4737  5 As 2.62-2.66, 3 Ti 2.77-2.87
Ti 0.5647 0.0531 0.8034  4 As 2.50-2.78, 1 Ti 2.77
Ti 0.5647 0.4469 0.8034  4 As 2.50-2.78, 1 Ti 2.77
Ti 0.7100 0.7500 0.1590  5 As 2.50-2.77
Ti 0.7276 0.2500 0.1665  5 As 2.52-2.73
Ti 0.7724 0.7500 0.6665  5 As 2.52-2.73
Ti 0.7900 0.2500 0.6590  5 As 2.50-2.77
Ti 0.9353 0.5531 0.3034  4 As 2.50-2.78, 1 Ti 2.77
Ti 0.9353 0.9469 0.3034  4 As 2.50-2.78, 1 Ti 2.77
Ti 0.9990 0.7500 0.9737  5 As 2.62-2.66, 3 Ti 2.77-2.87
As 0.0208 0.7500 0.5860  7 Ti 2.50-2.62
As 0.1746 0.5085 0.0699  9 Ti 2.64-2.87
As 0.1746 0.9915 0.0699  9 Ti 2.64-2.87
As 0.3254 0.0085 0.5699  9 Ti 2.64-2.87
As 0.3254 0.4915 0.5699  9 Ti 2.64-2.87
As 0.4792 0.2500 0.0860  7 Ti 2.50-2.62
As 0.5208 0.7500 0.9140  7 Ti 2.50-2.62
As 0.6746 0.5085 0.4301  9 Ti 2.64-2.87
As 0.6746 0.9915 0.4301  9 Ti 2.64-2.87
As 0.8254 0.0085 0.9301  9 Ti 2.64-2.87
As 0.8254 0.4915 0.9301  9 Ti 2.64-2.87
As 0.9792 0.2500 0.4140  7 Ti 2.50-2.62


# 3
Compound: LiAgF2
Source: the Materials Project
Functional: PBE-GGA
Structure: optimized geometry

- ρ: 5.0 g cm⁻³
- Energy above the most stable polymorph in this dataset: 2.9 kJ/mol of atoms
- Energy of formation: -828 kJ/mol of formula units
- Crystal system: orthorhombic

abc: 2.9638 6.1165 11.2808
angles: 90.00 90.00 90.00
Closest atoms and distances in Å follow each position.
Positions (direct):
Li 0.2124 0.2396 0.3934  5 F 1.98-2.02
Li 0.2876 0.7604 0.8934  5 F 1.98-2.02
Li 0.7124 0.2604 0.6066  5 F 1.98-2.02
Li 0.7876 0.7396 0.1066  5 F 1.98-2.02
Ag 0.1644 0.7398 0.6176  2 F 2.19-2.22
Ag 0.3356 0.2602 0.1176  2 F 2.19-2.22
Ag 0.6644 0.7602 0.3824  2 F 2.19-2.22
Ag 0.8356 0.2398 0.8824  2 F 2.19-2.22
F 0.2139 0.0705 0.5432  3 Li 1.98-2.02, 1 Ag 2.19
F 0.2156 0.4081 0.6971  2 Li 2.01-2.02, 1 Ag 2.22
F 0.2844 0.5919 0.1971  2 Li 2.01-2.02, 1 Ag 2.22
F 0.2861 0.9295 0.0432  3 Li 1.98-2.02, 1 Ag 2.19
F 0.7139 0.4295 0.4568  3 Li 1.98-2.02, 1 Ag 2.19
F 0.7156 0.0919 0.3029  2 Li 2.01-2.02, 1 Ag 2.22
F 0.7844 0.9081 0.8029  2 Li 2.01-2.02, 1 Ag 2.22
F 0.7861 0.5705 0.9568  3 Li 1.98-2.02, 1 Ag 2.19


# 4
Compound: Sr2SnSe3F2
Source: the Materials Project
Functional: PBE-GGA
Structure: optimized geometry

- ρ: 5.0 g cm⁻³
- Energy of formation: -1712 kJ/mol of formula units
- Crystal system: orthorhombic

abc: 6.1984 19.7356 6.1925
angles: 90.00 90.00 90.00
Closest atoms and distances in Å follow each position.
Positions (direct):
Sr 0.2458 0.0695 0.0047  4 F 2.57-2.60
Sr 0.2458 0.4305 0.0047  4 F 2.57-2.60
Sr 0.2542 0.5695 0.5047  4 F 2.57-2.60
Sr 0.2542 0.9305 0.5047  4 F 2.57-2.60
Sr 0.7458 0.0695 0.4953  4 F 2.57-2.60
Sr 0.7458 0.4305 0.4953  4 F 2.57-2.60
Sr 0.7542 0.5695 0.9953  4 F 2.57-2.60
Sr 0.7542 0.9305 0.9953  4 F 2.57-2.60
Sn 0.1461 0.7500 0.9196  4 Se 2.52-2.61
Sn 0.3539 0.2500 0.4196  4 Se 2.52-2.61
Sn 0.6461 0.7500 0.5804  4 Se 2.52-2.61
Sn 0.8539 0.2500 0.0804  4 Se 2.52-2.61
Se 0.2335 0.7500 0.5072  2 Sn 2.60-2.61
Se 0.2428 0.1306 0.5126  1 Sn 2.52
Se 0.2428 0.3694 0.5126  1 Sn 2.52
Se 0.2572 0.6306 0.0126  1 Sn 2.52
Se 0.2572 0.8694 0.0126  1 Sn 2.52
Se 0.2665 0.2500 0.0072  2 Sn 2.60-2.61
Se 0.7335 0.7500 0.9928  2 Sn 2.60-2.61
Se 0.7428 0.1306 0.9874  1 Sn 2.52
Se 0.7428 0.3694 0.9874  1 Sn 2.52
Se 0.7572 0.6306 0.4874  1 Sn 2.52
Se 0.7572 0.8694 0.4874  1 Sn 2.52
Se 0.7665 0.2500 0.4928  2 Sn 2.60-2.61
F 0.0013 0.0007 0.7467  4 Sr 2.57-2.60
F 0.0013 0.4993 0.7467  4 Sr 2.57-2.60
F 0.4987 0.5007 0.2467  4 Sr 2.57-2.60
F 0.4987 0.9993 0.2467  4 Sr 2.57-2.60
F 0.5013 0.0007 0.7533  4 Sr 2.57-2.60
F 0.5013 0.4993 0.7533  4 Sr 2.57-2.60
F 0.9987 0.5007 0.2533  4 Sr 2.57-2.60
F 0.9987 0.9993 0.2533  4 Sr 2.57-2.60


Q: Which value of energy of formation does entry 4 give?
A: -1712 kJ/mol of formula units


Q: Look up the ρ of the first one.
A: 3.2 g cm⁻³


Q: Among the records above, which one has the lowest energy of formation?
A: Na4YSi2GePO12


Repeat the third record exactly.
Compound: LiAgF2
Source: the Materials Project
Functional: PBE-GGA
Structure: optimized geometry

- ρ: 5.0 g cm⁻³
- Energy above the most stable polymorph in this dataset: 2.9 kJ/mol of atoms
- Energy of formation: -828 kJ/mol of formula units
- Crystal system: orthorhombic

abc: 2.9638 6.1165 11.2808
angles: 90.00 90.00 90.00
Closest atoms and distances in Å follow each position.
Positions (direct):
Li 0.2124 0.2396 0.3934  5 F 1.98-2.02
Li 0.2876 0.7604 0.8934  5 F 1.98-2.02
Li 0.7124 0.2604 0.6066  5 F 1.98-2.02
Li 0.7876 0.7396 0.1066  5 F 1.98-2.02
Ag 0.1644 0.7398 0.6176  2 F 2.19-2.22
Ag 0.3356 0.2602 0.1176  2 F 2.19-2.22
Ag 0.6644 0.7602 0.3824  2 F 2.19-2.22
Ag 0.8356 0.2398 0.8824  2 F 2.19-2.22
F 0.2139 0.0705 0.5432  3 Li 1.98-2.02, 1 Ag 2.19
F 0.2156 0.4081 0.6971  2 Li 2.01-2.02, 1 Ag 2.22
F 0.2844 0.5919 0.1971  2 Li 2.01-2.02, 1 Ag 2.22
F 0.2861 0.9295 0.0432  3 Li 1.98-2.02, 1 Ag 2.19
F 0.7139 0.4295 0.4568  3 Li 1.98-2.02, 1 Ag 2.19
F 0.7156 0.0919 0.3029  2 Li 2.01-2.02, 1 Ag 2.22
F 0.7844 0.9081 0.8029  2 Li 2.01-2.02, 1 Ag 2.22
F 0.7861 0.5705 0.9568  3 Li 1.98-2.02, 1 Ag 2.19